Li3MnCoO5: optimized geometry, PBE+U.

Structure (POSCAR):
```
Li3MnCoO5
1.0
1.4817 0.8554 24.6744
-1.4817 0.8554 24.6744
0.0000 -1.7109 24.6744
Li Mn Co O
6 2 2 10
direct
0.0000 0.0000 0.0000 Li
0.0976 0.0976 0.0976 Li
0.3008 0.3008 0.3008 Li
0.5000 0.5000 0.5000 Li
0.6992 0.6992 0.6992 Li
0.9024 0.9024 0.9024 Li
0.2005 0.2005 0.2005 Mn
0.7995 0.7995 0.7995 Mn
0.3998 0.3998 0.3998 Co
0.6002 0.6002 0.6002 Co
0.0524 0.0524 0.0524 O
0.1483 0.1483 0.1483 O
0.2513 0.2513 0.2513 O
0.3506 0.3506 0.3506 O
0.4516 0.4516 0.4516 O
0.5484 0.5484 0.5484 O
0.6494 0.6494 0.6494 O
0.7487 0.7487 0.7487 O
0.8517 0.8517 0.8517 O
0.9476 0.9476 0.9476 O
```

Results
Energy of formation   -167.52 kJ/mol of atoms
Space group   No. 166

Li7Mn4CoO12: optimized geometry, PBE+U.

Structure (POSCAR):
```
Li7Mn4CoO12
1.0
3.0425 0.0000 0.0000
0.3143 5.0600 0.0000
0.8405 0.6413 14.4990
Li Mn Co O
7 4 1 12
direct
0.0000 0.0000 0.0000 Li
0.0000 0.0000 0.5000 Li
0.0212 0.6684 0.3455 Li
0.4950 0.8452 0.6526 Li
0.5000 0.5000 0.0000 Li
0.5050 0.1548 0.3474 Li
0.9788 0.3316 0.6545 Li
0.0020 0.3312 0.1702 Mn
0.4979 0.1690 0.8297 Mn
0.5021 0.8310 0.1703 Mn
0.9980 0.6688 0.8298 Mn
0.5000 0.5000 0.5000 Co
0.0186 0.3501 0.4283 O
0.0289 0.0045 0.2481 O
0.0331 0.3436 0.9095 O
0.4724 0.1563 0.0914 O
0.4768 0.4985 0.7550 O
0.4956 0.7931 0.4261 O
0.5044 0.2069 0.5739 O
0.5232 0.5015 0.2450 O
0.5276 0.8437 0.9086 O
0.9669 0.6564 0.0905 O
0.9711 0.9955 0.7519 O
0.9814 0.6499 0.5717 O
```

Results
Energy of formation   -191.51 kJ/mol of atoms
Space group   No. 2

Li7Mn4CoO12: optimized geometry, PBE+U.

Structure (POSCAR):
```
Li7Mn4CoO12
1.0
7.8540 -1.4369 0.0000
7.8540 1.4369 0.0000
-3.8744 0.0000 9.6634
Li Mn Co O
7 4 1 12
direct
0.0000 0.0000 0.0000 Li
0.0046 0.0046 0.4884 Li
0.3367 0.3367 0.4966 Li
0.3393 0.3393 0.9979 Li
0.5023 0.5023 0.2441 Li
0.6650 0.6650 0.4875 Li
0.6676 0.6676 0.9931 Li
0.1654 0.1654 0.2472 Mn
0.1701 0.1701 0.7409 Mn
0.5007 0.5007 0.7450 Mn
0.8394 0.8394 0.2405 Mn
0.8362 0.8362 0.7461 Co
0.0755 0.0755 0.8623 O
0.0983 0.0983 0.3577 O
0.2549 0.2549 0.1372 O
0.2653 0.2653 0.6311 O
0.4084 0.4084 0.8610 O
0.4089 0.4089 0.3570 O
0.5944 0.5944 0.6231 O
0.5955 0.5955 0.1309 O
0.7427 0.7427 0.8590 O
0.7496 0.7496 0.3507 O
0.9070 0.9070 0.1309 O
0.9269 0.9269 0.6272 O
```

Results
Energy of formation   -197.14 kJ/mol of atoms
Space group   No. 8

Li3MnCoO5: optimized geometry, PBE+U.

Structure (POSCAR):
```
Li3MnCoO5
1.0
3.0276 0.0000 0.0000
1.1448 4.9508 0.0000
0.4607 2.2644 12.1860
Li Mn Co O
6 2 2 10
direct
0.0000 0.0000 0.0000 Li
0.1035 0.8014 0.7026 Li
0.2991 0.3938 0.1005 Li
0.5000 0.0000 0.5000 Li
0.7009 0.6062 0.8995 Li
0.8965 0.1986 0.2974 Li
0.1959 0.6024 0.3970 Mn
0.8041 0.3976 0.6030 Mn
0.4107 0.1905 0.8104 Co
0.5893 0.8095 0.1896 Co
0.0586 0.9275 0.8471 O
0.1265 0.6909 0.5454 O
0.2624 0.5213 0.2510 O
0.3460 0.2995 0.9355 O
0.4659 0.1152 0.6610 O
0.5341 0.8848 0.3390 O
0.6540 0.7005 0.0645 O
0.7376 0.4787 0.7490 O
0.8735 0.3091 0.4546 O
0.9414 0.0725 0.1529 O
```

Results
Energy of formation   -180.54 kJ/mol of atoms
Space group   No. 2

What energy above the lowest structure with this stoichiometry values result from the calculations? In sequence: 2.24; 2.39; 0.98; 0.89 eV/f.u..